The following is a r²SCAN calculation of crystalline Ge3PbO7 at its relaxed geometry, from Materials Project.

CIF file:
```
data_Ge3PbO7
_cell_length_a 5.268
_cell_length_b 14.139
_cell_length_c 16.171
_cell_angle_alpha 90.00
_cell_angle_beta 90.00
_cell_angle_gamma 90.00
_space_group_name_H-M_alt 'P 1'
_space_group_IT_number 1
loop_
_space_group_symop_operation_xyz
'x,y,z'
loop_
_atom_site_label
_atom_site_type_symbol
_atom_site_fract_x
_atom_site_fract_y
_atom_site_fract_z
O1 O 0.631 0.034 0.846
O2 O 0.079 0.251 0.582
O3 O 0.421 0.751 0.418
O4 O 0.717 0.579 0.912
O5 O 0.642 0.907 0.664
O6 O 0.737 0.696 0.249
O7 O 0.237 0.804 0.249
O8 O 0.217 0.921 0.912
O9 O 0.619 0.405 0.498
O10 O 0.763 0.196 0.751
O11 O 0.131 0.466 0.846
O12 O 0.717 0.079 0.588
O13 O 0.119 0.595 0.002
O14 O 0.283 0.921 0.412
O15 O 0.381 0.095 0.998
O16 O 0.881 0.405 0.998
O17 O 0.783 0.579 0.412
O18 O 0.858 0.907 0.164
O19 O 0.263 0.804 0.749
O20 O 0.783 0.079 0.088
O21 O 0.763 0.696 0.749
O22 O 0.737 0.196 0.251
O23 O 0.119 0.095 0.498
O24 O 0.421 0.251 0.082
O25 O 0.579 0.749 0.918
O26 O 0.719 0.702 0.068
O27 O 0.869 0.534 0.154
O28 O 0.719 0.202 0.432
O29 O 0.858 0.407 0.336
O30 O 0.781 0.202 0.932
O31 O 0.619 0.905 0.002
O32 O 0.358 0.093 0.336
O33 O 0.358 0.593 0.164
O34 O 0.079 0.751 0.918
O35 O 0.921 0.749 0.418
O36 O 0.631 0.534 0.654
O37 O 0.921 0.249 0.082
O38 O 0.131 0.966 0.654
O39 O 0.881 0.905 0.502
O40 O 0.263 0.304 0.751
O41 O 0.219 0.798 0.068
O42 O 0.869 0.034 0.346
O43 O 0.142 0.093 0.836
O44 O 0.142 0.593 0.664
O45 O 0.237 0.304 0.251
O46 O 0.219 0.298 0.432
O47 O 0.369 0.966 0.154
O48 O 0.281 0.798 0.568
O49 O 0.281 0.298 0.932
O50 O 0.781 0.702 0.568
O51 O 0.381 0.595 0.502
O52 O 0.283 0.421 0.088
O53 O 0.579 0.249 0.582
O54 O 0.217 0.421 0.588
O55 O 0.369 0.466 0.346
O56 O 0.642 0.407 0.836
Ge1 Ge 0.645 0.677 0.470
Ge2 Ge 0.151 0.535 0.095
Ge3 Ge 0.171 0.864 0.158
Ge4 Ge 0.329 0.864 0.658
Ge5 Ge 0.355 0.823 0.970
Ge6 Ge 0.645 0.177 0.030
Ge7 Ge 0.671 0.636 0.158
Ge8 Ge 0.145 0.323 0.030
Ge9 Ge 0.171 0.364 0.342
Ge10 Ge 0.651 0.965 0.095
Ge11 Ge 0.671 0.136 0.342
Ge12 Ge 0.329 0.364 0.842
Ge13 Ge 0.849 0.465 0.905
Ge14 Ge 0.855 0.177 0.530
Ge15 Ge 0.829 0.636 0.658
Ge16 Ge 0.829 0.136 0.842
Ge17 Ge 0.355 0.323 0.530
Ge18 Ge 0.849 0.965 0.595
Ge19 Ge 0.349 0.535 0.595
Ge20 Ge 0.145 0.823 0.470
Ge21 Ge 0.651 0.465 0.405
Ge22 Ge 0.349 0.035 0.905
Ge23 Ge 0.151 0.035 0.405
Ge24 Ge 0.855 0.677 0.970
Pb1 Pb 0.370 0.151 0.687
Pb2 Pb 0.130 0.151 0.187
Pb3 Pb 0.130 0.651 0.313
Pb4 Pb 0.630 0.849 0.313
Pb5 Pb 0.630 0.349 0.187
Pb6 Pb 0.870 0.849 0.813
Pb7 Pb 0.870 0.349 0.687
Pb8 Pb 0.370 0.651 0.813
```

Computed properties:
energy of formation from the pure elements: -1.731 eV/atom
energy: -158.8 eV/f.u.
total magnetization: 0.0000 μB per atom